# 1
VASP calculation (r2SCAN) on a relaxed structure of EuBPd3.

Output
* spin magnetization: 6.88 μB/cell
* space-group type: Pm-3m (221)
* ΔH_f (0 K): -515 meV per atom

Structure (extended XYZ):
```
5
Lattice="4.340 0.000 0.000 0.000 4.340 0.000 0.000 0.000 4.340" Properties=species:S:1:pos:R:3 pbc="T T T"
Eu 0.000 0.000 0.000
B 2.170 2.170 2.170
Pd 0.000 2.170 2.170
Pd 2.170 0.000 2.170
Pd 2.170 2.170 0.000
```

# 2
VASP calculation (r2SCAN) on a relaxed structure of EuBPt4.

Output
* spin magnetization: 13.45 μB/cell
* space-group type: P6/mmm (191)
* ΔH_f (0 K): -767 meV per atom

Structure (extended XYZ):
```
12
Lattice="5.501 0.000 0.000 -2.751 4.764 0.000 0.000 0.000 7.579" Properties=species:S:1:pos:R:3 pbc="T T T"
Eu 0.000 0.000 0.000
Eu 0.000 0.000 3.789
B 0.000 3.176 0.000
B 2.751 1.588 0.000
Pt -1.375 2.382 1.507
Pt -1.375 2.382 6.071
Pt 0.000 3.176 3.789
Pt 2.751 0.000 1.507
Pt 2.751 0.000 6.071
Pt 1.375 2.382 1.507
Pt 1.375 2.382 6.071
Pt 2.751 1.588 3.789
```

# 3
VASP calculation (r2SCAN) on a relaxed structure of EuB2S4.

Output
* spin magnetization: 28.00 μB/cell
* space-group type: P2_1/c (14)
* ΔH_f (0 K): -1070 meV per atom

Structure (extended XYZ):
```
28
Lattice="6.427 0.000 0.000 0.000 14.105 0.000 -2.080 0.000 5.730" Properties=species:S:1:pos:R:3 pbc="T T T"
Eu 0.590 1.450 1.732
Eu -0.450 5.603 4.597
Eu 4.798 8.502 1.133
Eu 3.758 12.655 3.998
B 0.009 10.262 4.717
B 1.049 10.895 1.852
B 1.804 8.233 3.276
B 2.844 12.924 0.411
B 1.504 1.180 5.319
B 2.543 5.872 2.454
B 3.299 3.210 3.879
B 4.339 3.842 1.014
S 0.496 10.429 0.049
S -0.544 10.728 2.915
S -0.092 0.103 4.914
S 0.948 6.949 2.049
S 0.646 8.445 4.784
S 1.686 12.711 1.919
S 2.910 2.768 0.331
S 1.871 4.284 3.197
S 2.477 9.820 2.534
S 1.437 11.336 5.399
S 2.662 1.393 3.812
S 3.702 5.659 0.946
S 3.400 7.155 3.681
S 4.439 14.001 0.816
S 4.891 3.377 2.816
S 3.852 3.676 5.681
```

# 4
VASP calculation (r2SCAN) on a relaxed structure of SmEuB12.

Output
* spin magnetization: 6.81 μB/cell
* space-group type: Fm-3m (225)
* ΔH_f (0 K): -545 meV per atom

Structure (extended XYZ):
```
14
Lattice="0.000 4.131 4.131 4.131 0.000 4.131 4.131 4.131 0.000" Properties=species:S:1:pos:R:3 pbc="T T T"
Sm 0.000 0.000 0.000
Eu 4.131 4.131 4.131
B 2.066 2.066 0.828
B 2.066 0.828 2.066
B 3.304 2.066 2.066
B 0.828 2.066 2.066
B 2.066 3.304 2.066
B 2.066 2.066 3.304
B 6.197 6.197 4.959
B 6.197 4.959 6.197
B 7.435 6.197 6.197
B 4.959 6.197 6.197
B 6.197 7.435 6.197
B 6.197 6.197 7.435
```

Question: What is the spin magnetization in the second record?
Answer: 13.45 μB/cell